[1]
A geometry-optimized LiAgC2O4 structure, computed with PBE-GGA.

Cell lengths 3.700, 5.530, 10.029 Å; angles 93.29, 91.02, 92.57 degrees
Fractional coordinates of all 16 atoms:
Li 0.032 0.078 0.360
Li 0.968 0.922 0.640
Ag 0.378 0.607 0.162
Ag 0.622 0.393 0.838
C 0.087 0.937 0.936
C 0.108 0.563 0.445
C 0.892 0.437 0.555
C 0.913 0.063 0.064
O 0.051 0.037 0.826
O 0.158 0.790 0.457
O 0.219 0.422 0.351
O 0.253 0.744 0.952
O 0.747 0.256 0.048
O 0.781 0.578 0.649
O 0.842 0.210 0.543
O 0.949 0.963 0.174

## Properties
- Volume: 12.8 Å³ per atom
- Total energy after the MP2020 corrections: -6.87 eV per atom
- Energy above the most stable polymorph in this dataset: 0.02 eV per formula unit
- Calculated density: 3.3 g/cm³

---

[2]
A geometry-optimized LiAgC2O4 structure, computed with PBE-GGA.

Cell lengths 3.961, 4.898, 10.361 Å; angles 90.00, 92.48, 90.00 degrees
Fractional coordinates of all 16 atoms:
Li 0.108 0.000 0.102
Li 0.892 0.500 0.898
Ag 0.390 0.603 0.586
Ag 0.610 0.103 0.414
C 0.099 0.621 0.295
C 0.108 0.999 0.825
C 0.892 0.499 0.175
C 0.901 0.121 0.705
O 0.087 0.492 0.400
O 0.114 0.144 0.926
O 0.237 0.764 0.814
O 0.268 0.835 0.273
O 0.732 0.335 0.727
O 0.763 0.264 0.186
O 0.886 0.644 0.074
O 0.913 0.992 0.600

## Properties
- Volume: 12.6 Å³ per atom
- Total energy after the MP2020 corrections: -6.88 eV per atom
- Energy above the most stable polymorph in this dataset: 0.00 eV per formula unit
- Calculated density: 3.4 g/cm³
- Piezoelectric modulus e_max: 0.32 C/m²

---

[3]
A geometry-optimized MgAg2C2O6 structure, computed with PBE-GGA.

Cell lengths 7.019, 7.019, 7.019 Å; angles 43.91, 43.91, 43.91 degrees
Fractional coordinates of all 11 atoms:
Mg 0.000 0.000 0.000
Ag 0.438 0.438 0.438
Ag 0.853 0.853 0.853
C 0.189 0.189 0.189
C 0.687 0.687 0.687
O 0.245 0.404 0.919
O 0.404 0.919 0.245
O 0.426 0.918 0.720
O 0.720 0.426 0.918
O 0.918 0.720 0.426
O 0.919 0.245 0.404

## Properties
- Volume: 13.7 Å³ per atom
- Total energy after the MP2020 corrections: -6.58 eV per atom
- Calculated density: 4.0 g/cm³

---

[4]
A geometry-optimized NaAgC2N2 structure, computed with PBE-GGA.

Cell lengths 3.844, 3.844, 17.642 Å; angles 91.28, 91.28, 59.56 degrees
Fractional coordinates of all 12 atoms:
Na 0.047 0.953 0.750
Na 0.953 0.047 0.250
Ag 0.000 0.500 0.000
Ag 0.500 0.000 0.500
C 0.191 0.415 0.111
C 0.415 0.191 0.611
C 0.585 0.809 0.389
C 0.809 0.585 0.889
N 0.293 0.369 0.175
N 0.369 0.293 0.675
N 0.631 0.707 0.325
N 0.707 0.631 0.825

## Properties
- Volume: 18.7 Å³ per atom
- Total energy after the MP2020 corrections: -6.62 eV per atom
- Calculated density: 2.7 g/cm³

---

[5]
A geometry-optimized AgC2S2N3 structure, computed with PBE-GGA.

Cell lengths 4.039, 23.973, 7.823 Å; angles 90.00, 114.35, 90.00 degrees
Fractional coordinates of all 32 atoms:
Ag 0.128 0.198 0.038
Ag 0.128 0.302 0.538
Ag 0.872 0.698 0.462
Ag 0.872 0.802 0.962
C 0.195 0.066 0.187
C 0.195 0.434 0.687
C 0.492 0.190 0.495
C 0.492 0.310 0.995
C 0.508 0.690 0.005
C 0.508 0.810 0.505
C 0.805 0.566 0.313
C 0.805 0.934 0.813
S 0.115 0.602 0.483
S 0.115 0.898 0.983
S 0.466 0.249 0.373
S 0.466 0.251 0.873
S 0.534 0.749 0.127
S 0.534 0.751 0.627
S 0.885 0.102 0.017
S 0.885 0.398 0.517
N 0.098 0.061 0.666
N 0.098 0.439 0.166
N 0.414 0.038 0.303
N 0.414 0.462 0.803
N 0.499 0.650 0.917
N 0.499 0.850 0.417
N 0.501 0.150 0.583
N 0.501 0.350 0.083
N 0.586 0.538 0.197
N 0.586 0.962 0.697
N 0.902 0.561 0.834
N 0.902 0.939 0.334

## Properties
- Volume: 21.6 Å³ per atom
- Total energy after the MP2020 corrections: -5.96 eV per atom
- Calculated density: 2.3 g/cm³

---

[6]
A geometry-optimized AgWC9S4N3 structure, computed with PBE-GGA.

Cell lengths 6.641, 7.552, 18.859 Å; angles 90.00, 91.74, 90.00 degrees
Fractional coordinates of all 36 atoms:
Ag 0.032 0.000 0.320
Ag 0.968 0.500 0.680
W 0.299 0.985 0.200
W 0.701 0.485 0.800
C 0.156 0.472 0.594
C 0.258 0.100 0.925
C 0.354 0.797 0.872
C 0.358 0.649 0.844
C 0.380 0.234 0.551
C 0.380 0.267 0.307
C 0.417 0.078 0.571
C 0.452 0.347 0.360
C 0.472 0.075 0.942
C 0.528 0.575 0.058
C 0.548 0.847 0.640
C 0.583 0.578 0.429
C 0.620 0.734 0.449
C 0.620 0.767 0.693
C 0.642 0.149 0.156
C 0.646 0.297 0.128
C 0.742 0.600 0.075
C 0.844 0.972 0.406
S 0.155 0.976 0.098
S 0.183 0.253 0.248
S 0.195 0.749 0.257
S 0.345 0.450 0.808
S 0.655 0.950 0.192
S 0.805 0.249 0.743
S 0.817 0.753 0.752
S 0.845 0.476 0.902
N 0.264 0.363 0.571
N 0.360 0.949 0.904
N 0.466 0.919 0.586
N 0.534 0.419 0.414
N 0.640 0.449 0.096
N 0.736 0.863 0.429

## Properties
- Volume: 26.3 Å³ per atom
- Total energy after the MP2020 corrections: -7.06 eV per atom
- Energy above the most stable polymorph in this dataset: 0.00 eV per formula unit
- Calculated density: 2.0 g/cm³

---

Taking the records one at a time from the top gives E_form values of -1499, -1502, -1544, -77, 861, 745 meV per atom.
Taking the records one at a time from the top gives VASP energy values of -104.5, -104.5, -68.3, -78.0, -182.4, -247.8 eV per cell.